# Mn3Cr3Te2O16 | Materials Project | GGA+U | optimized geometry
# * mass density: 4.87 g/cm3
# * electronic total energy: -328.2 eV/cell
data_Mn3Cr3Te2O16
_chemical_formula_sum 'Mn6 Cr6 Te4 O32'
_space_group_name_H-M_alt 'C 1 m 1'
_space_group_IT_number 8
_space_group_name_Hall 'C -2y'
_cell_length_a 10.309
_cell_length_b 5.967
_cell_length_c 9.216
_cell_angle_alpha 90.00
_cell_angle_beta 90.27
_cell_angle_gamma 90.00
loop_
_atom_site_label
_atom_site_type_symbol
_atom_site_fract_x
_atom_site_fract_y
_atom_site_fract_z
Mn1 Mn 0.000 0.000 0.000
Mn2 Mn 0.085 0.251 0.501
Cr1 Cr 0.253 0.253 0.000
Cr2 Cr 0.339 0.000 0.499
Te1 Te 0.001 0.500 0.222
Te2 Te 0.334 0.500 0.724
O1 O 0.008 0.500 0.599
O2 O 0.081 0.257 0.113
O3 O 0.149 0.500 0.361
O4 O 0.164 0.000 0.409
O5 O 0.164 0.000 0.907
O6 O 0.190 0.500 0.865
O7 O 0.255 0.257 0.614
O8 O 0.340 0.000 0.115
O9 O 0.341 0.500 0.101
O10 O 0.410 0.283 0.868
O11 O 0.429 0.218 0.366
O12 O 0.493 0.500 0.613